Material: RbPSe3
Method: DFT, PBE
State: optimized geometry

a = 7.601 Å, b = 7.601 Å, c = 19.604 Å
α = 90.00°, β = 90.00°, γ = 120.00°
Sites, in units of the cell vectors:
Se (0.577, 0.781, 0.259)
Se (0.760, 0.842, 0.553)
Se (0.701, 0.956, 0.940)
Se (0.797, 0.219, 0.408)
Se (0.956, 0.701, 0.060)
P (0.898, 0.924, 0.281)
Se (0.219, 0.797, 0.592)
Rb (0.686, 0.418, 0.916)
Se (0.240, 0.082, 0.780)
Se (0.044, 0.745, 0.274)
P (0.973, 0.076, 0.386)
P (0.027, 0.102, 0.947)
P (0.924, 0.898, 0.719)
P (0.076, 0.973, 0.614)
Rb (0.582, 0.269, 0.249)
Rb (0.418, 0.686, 0.084)
Rb (0.314, 0.731, 0.418)
Rb (0.731, 0.314, 0.582)
Se (0.918, 0.158, 0.113)
Se (0.158, 0.918, 0.887)
Se (0.203, 0.423, 0.925)
Se (0.423, 0.203, 0.075)
Se (0.745, 0.044, 0.726)
Se (0.781, 0.577, 0.741)
Se (0.299, 0.255, 0.393)
Se (0.842, 0.760, 0.447)
P (0.102, 0.027, 0.053)
Se (0.082, 0.240, 0.220)
Rb (0.269, 0.582, 0.751)
Se (0.255, 0.299, 0.607)

Values from the calculation:
- Formation energy from the elements: -806 meV/atom

Material: PrBi2Au
Method: DFT, PBE
State: optimized geometry

a = 4.685 Å, b = 4.685 Å, c = 10.153 Å
α = 90.00°, β = 90.00°, γ = 90.00°
Sites, in units of the cell vectors:
Bi (0.500, 0.500, 0.500)
Bi (0.500, 0.000, 0.811)
Pr (0.500, 0.000, 0.236)
Bi (0.000, 0.000, 0.500)
Au (0.500, 0.500, 0.000)
Pr (0.000, 0.500, 0.764)
Bi (0.000, 0.500, 0.189)
Au (0.000, 0.000, 0.000)

Values from the calculation:
- Formation energy from the elements: -584 meV/atom

Material: HfB4H16
Method: DFT, PBE
State: optimized geometry

a = 6.009 Å, b = 6.009 Å, c = 6.009 Å
α = 90.00°, β = 90.00°, γ = 90.00°
Sites, in units of the cell vectors:
H (0.984, 0.750, 0.250)
H (0.750, 0.984, 0.250)
H (0.665, 0.665, 0.335)
B (0.220, 0.220, 0.220)
H (0.750, 0.750, 0.016)
Hf (0.000, 0.000, 0.000)
H (0.335, 0.665, 0.665)
H (0.750, 0.250, 0.984)
H (0.250, 0.016, 0.250)
B (0.780, 0.780, 0.220)
H (0.250, 0.984, 0.750)
H (0.250, 0.250, 0.016)
B (0.780, 0.220, 0.780)
H (0.335, 0.335, 0.335)
H (0.016, 0.250, 0.250)
H (0.665, 0.335, 0.665)
H (0.750, 0.016, 0.750)
H (0.250, 0.750, 0.984)
B (0.220, 0.780, 0.780)
H (0.016, 0.750, 0.750)
H (0.984, 0.250, 0.750)

Values from the calculation:
- Formation energy from the elements: -316 meV/atom

Material: Ba4Y2Cu7O15
Method: DFT, PBE
State: optimized geometry

a = 25.612 Å, b = 25.612 Å, c = 3.874 Å
α = 90.00°, β = 90.00°, γ = 171.24°
Sites, in units of the cell vectors:
O (0.587, 0.413, 0.000)
Y (0.615, 0.385, 0.500)
O (0.643, 0.357, 0.000)
O (0.733, 0.267, 0.000)
O (0.267, 0.733, 0.000)
O (0.500, 0.500, 0.000)
O (0.087, 0.913, 0.500)
O (0.913, 0.087, 0.500)
Cu (0.149, 0.851, 0.000)
O (0.357, 0.643, 0.000)
Ba (0.458, 0.542, 0.500)
Cu (0.851, 0.149, 0.000)
O (0.037, 0.963, 0.000)
Cu (0.081, 0.919, 0.000)
O (0.194, 0.806, 0.000)
Cu (0.919, 0.081, 0.000)
O (0.856, 0.144, 0.500)
O (0.144, 0.856, 0.500)
Cu (0.230, 0.770, 0.000)
Cu (0.770, 0.230, 0.000)
Cu (0.000, 0.000, 0.000)
Y (0.385, 0.615, 0.500)
Ba (0.688, 0.312, 0.500)
O (0.963, 0.037, 0.000)
O (0.413, 0.587, 0.000)
O (0.806, 0.194, 0.000)
Ba (0.312, 0.688, 0.500)
Ba (0.542, 0.458, 0.500)

Values from the calculation:
- Distance to the lowest polymorph of the same formula: 0 meV/atom
- Formation energy from the elements: -2116 meV/atom

Material: ThSbRh
Method: DFT, PBE
State: optimized geometry

a = 4.758 Å, b = 4.758 Å, c = 4.758 Å
α = 60.00°, β = 60.00°, γ = 60.00°
Sites, in units of the cell vectors:
Th (0.000, 0.000, 0.000)
Sb (0.500, 0.500, 0.500)
Rh (0.250, 0.250, 0.250)

Values from the calculation:
- Formation energy from the elements: -1055 meV/atom
- Piezoelectric modulus e_max: 0.2 C/m²

Material: K2SiF6
Method: DFT, PBE
State: optimized geometry

a = 5.738 Å, b = 5.738 Å, c = 9.414 Å
α = 90.00°, β = 90.00°, γ = 120.00°
Sites, in units of the cell vectors:
F (0.474, 0.526, 0.869)
K (0.333, 0.667, 0.592)
F (0.619, 0.810, 0.078)
Si (0.667, 0.333, 0.476)
K (0.000, 0.000, 0.312)
F (0.190, 0.381, 0.078)
F (0.526, 0.474, 0.369)
F (0.526, 0.052, 0.369)
F (0.810, 0.619, 0.578)
F (0.381, 0.190, 0.578)
F (0.948, 0.474, 0.369)
Si (0.333, 0.667, 0.976)
K (0.667, 0.333, 0.092)
K (0.000, 0.000, 0.812)
F (0.190, 0.810, 0.078)
F (0.810, 0.190, 0.578)
F (0.474, 0.948, 0.869)
F (0.052, 0.526, 0.869)

Values from the calculation:
- Formation energy from the elements: -3425 meV/atom

no.,V (Å³/cell)
1,980.8
2,222.8
3,217.0
4,386.8
5,76.2
6,268.4